This record from Materials Project describes a geometry-optimized AgHPbC2SN2O structure. The functional is PBE.

abc: 21.9468 4.1108 7.3619
angles: 90.00 90.00 90.00
Last column: nearest neighbours and their distance in Å.
Space group Pnma (No. 62)
One atom of each set of equivalent atoms:
Ag (0.1983, 0.2500, 0.0100)  1 C 2.11
H (0.0479, 0.7500, 0.7105)  1 O 0.98
Pb (0.0435, 0.7500, 0.3084)  3 O 2.44-2.45, 1 N 2.65
C (0.1033, 0.2500, 0.9628)  1 N 1.18
C (0.1770, 0.2500, 0.5376)  1 N 1.18
S (0.2431, 0.2500, 0.6453)  1 C 1.65
N (0.0528, 0.2500, 0.9098)  1 C 1.18
N (0.1296, 0.2500, 0.4614)  1 C 1.18
O (0.0132, 0.7500, 0.6272)  1 H 0.98

Calculated values
**Magnetic moment**: 0.0 μB per cell
**Crystal system**: orthorhombic
**ΔH_f (0 K)**: -250 meV/atom
**E_tot**: -6.135 eV per atom



This record from Materials Project describes a geometry-optimized TbAg3H6C6N6O3 structure. The functional is PBE.

abc: 6.7756 6.7756 18.4307
angles: 90.00 90.00 120.00
Last column: nearest neighbours and their distance in Å.
Space group P6_3/mcm (No. 193)
One atom of each set of equivalent atoms:
Tb (0.0000, 0.0000, 0.2500)  3 O 2.44, 6 N 2.52
Ag (0.0000, 0.5000, 0.0000)  2 C 2.06
H (0.0000, 0.4465, 0.2075)  1 O 0.98
C (0.0000, 0.3463, 0.5963)  1 N 1.17
N (0.0000, 0.2564, 0.6507)  1 C 1.17
O (0.0000, 0.3602, 0.2500)  2 H 0.98

Calculated values
**Magnetic moment**: 0.0 μB per cell
**Crystal system**: hexagonal
**ΔH_f (0 K)**: -391 meV/atom
**E_tot**: -6.458 eV per atom



This record from Materials Project describes a geometry-optimized TbAgH18C20N6O12 structure. The functional is PBE.

abc: 7.0900 12.2026 14.6519
angles: 80.32 76.81 83.82
Last column: nearest neighbours and their distance in Å.
Space group P-1 (No. 2)
One atom of each set of equivalent atoms:
Tb (0.1647, 0.0196, 0.1954)  8 O 2.32-2.59
Ag (0.2631, 0.4225, 0.5091)  3 N 2.18-2.37
H (0.0644, 0.0967, 0.8830)  1 O 0.98
H (0.1063, 0.7230, 0.7122)  1 C 1.08
H (0.1286, 0.3905, 0.7521)  1 C 1.09
H (0.1356, 0.8540, 0.0600)  1 O 1.02
H (0.1454, 0.0616, 0.5345)  1 C 1.09
H (0.1558, 0.7113, 0.4200)  1 C 1.09
H (0.1766, 0.4360, 0.1531)  1 C 1.09
H (0.1791, 0.8297, 0.8924)  1 O 0.99
H (0.2411, 0.7610, 0.2133)  1 O 1.00
H (0.2907, 0.9060, 0.8030)  1 O 0.98
H (0.3081, 0.2842, 0.8998)  1 C 1.09
H (0.3089, 0.6409, 0.8800)  1 C 1.09
H (0.3542, 0.8283, 0.6758)  1 C 1.09
H (0.3704, 0.4404, 0.2615)  1 C 1.09
H (0.4139, 0.8092, 0.2443)  1 O 0.98
H (0.4155, 0.0687, 0.8494)  1 O 0.99
H (0.4292, 0.7699, 0.3864)  1 C 1.09
H (0.4469, 0.0757, 0.9505)  1 O 0.98
C (0.0844, 0.7024, 0.6464)  1 H 1.08
C (0.1101, 0.6966, 0.4967)  1 H 1.09
C (0.2131, 0.6565, 0.0671)  2 O 1.27-1.28
C (0.2164, 0.4448, 0.0761)  1 H 1.09
C (0.2208, 0.2346, 0.0895)  2 O 1.27-1.29
C (0.2402, 0.5507, 0.0220)  3 C 1.40-1.52
C (0.2420, 0.3486, 0.0326)  3 C 1.39-1.50
C (0.2485, 0.1234, 0.6890)  2 O 1.27-1.28
C (0.2623, 0.4325, 0.7245)  1 H 1.09
C (0.2802, 0.1035, 0.5152)  1 H 1.09
C (0.2897, 0.3583, 0.9339)  1 H 1.09
C (0.2903, 0.5593, 0.9232)  1 H 1.09
C (0.3139, 0.4635, 0.8808)  2 C 1.39, 1 N 1.43
C (0.3148, 0.0743, 0.3451)  2 O 1.27-1.29
C (0.3498, 0.1430, 0.5851)  3 C 1.40-1.52
C (0.3727, 0.7909, 0.5344)  2 C 1.39-1.40, 1 N 1.43
C (0.3861, 0.1158, 0.4212)  3 C 1.40-1.50
C (0.4377, 0.8334, 0.6032)  1 H 1.09
C (0.4792, 0.8016, 0.4410)  1 H 1.09
C (0.4831, 0.4789, 0.2817)  1 H 1.09
N (0.0432, 0.3564, 0.4550)  1 C 1.32, 1 N 1.38
N (0.0604, 0.3531, 0.3598)  1 C 1.32, 1 N 1.38
N (0.1972, 0.7347, 0.5582)  3 C 1.37-1.43
N (0.3506, 0.4555, 0.6347)  1 C 1.32, 1 N 1.38
N (0.3622, 0.4727, 0.7795)  3 C 1.36-1.43
N (0.4878, 0.4885, 0.3694)  1 C 1.32, 1 N 1.38
O (0.0703, 0.9210, 0.0915)  2 H 0.98-1.02
O (0.1006, 0.0669, 0.7082)  1 C 1.27
O (0.1363, 0.0569, 0.3579)  1 C 1.27
O (0.1649, 0.8742, 0.8311)  2 H 0.98-0.99
O (0.1747, 0.2242, 0.1794)  1 C 1.27
O (0.1933, 0.6471, 0.1563)  1 C 1.27
O (0.2133, 0.7487, 0.0105)  1 C 1.28
O (0.2473, 0.1488, 0.0465)  1 C 1.29
O (0.2718, 0.8148, 0.2516)  2 H 0.98-1.00
O (0.3168, 0.1617, 0.7497)  1 C 1.28
O (0.4344, 0.0577, 0.2675)  1 C 1.29
O (0.4987, 0.0381, 0.8946)  2 H 0.98-0.99

Calculated values
**Magnetic moment**: 0.0 μB per cell
**Crystal system**: triclinic
**ΔH_f (0 K)**: -673 meV/atom
**E_tot**: -6.781 eV per atom